# Ni5P6O22 | the Materials Project database | GGA+U | relaxed
# DFT formation energy: -2.05 eV per atom
# Spin magnetization: 17.577 μB per cell
data_Ni5P6O22
_chemical_formula_sum 'Ni10 P12 O44'
_symmetry_space_group_name_H-M 'P 1'
_symmetry_Int_Tables_number 1
_symmetry_space_group_name_Hall 'P 1'
_cell_length_a 12.621
_cell_length_b 6.486
_cell_length_c 10.261
_cell_angle_alpha 90.00
_cell_angle_beta 105.08
_cell_angle_gamma 90.00
loop_
_atom_site_label
_atom_site_fract_x
_atom_site_fract_y
_atom_site_fract_z
_atom_site_occupancy
Ni1 0.000 0.000 0.000 1
Ni2 0.000 0.500 0.500 1
Ni3 0.135 0.240 0.787 1
Ni4 0.135 0.260 0.287 1
Ni5 0.337 0.012 0.804 1
Ni6 0.337 0.488 0.304 1
Ni7 0.663 0.512 0.696 1
Ni8 0.663 0.988 0.196 1
Ni9 0.865 0.740 0.713 1
Ni10 0.865 0.760 0.213 1
P1 0.082 0.733 0.774 1
P2 0.082 0.767 0.274 1
P3 0.251 0.104 0.074 1
P4 0.251 0.396 0.574 1
P5 0.417 0.711 0.587 1
P6 0.417 0.789 0.087 1
P7 0.583 0.211 0.913 1
P8 0.583 0.289 0.413 1
P9 0.749 0.604 0.426 1
P10 0.749 0.896 0.926 1
P11 0.918 0.233 0.726 1
P12 0.918 0.267 0.226 1
O1 0.007 0.223 0.141 1
O2 0.007 0.277 0.641 1
O3 0.012 0.207 0.866 1
O4 0.012 0.293 0.366 1
O5 0.149 0.542 0.824 1
O6 0.149 0.958 0.324 1
O7 0.154 0.580 0.267 1
O8 0.154 0.920 0.767 1
O9 0.158 0.552 0.552 1
O10 0.158 0.948 0.052 1
O11 0.240 0.228 0.676 1
O12 0.240 0.272 0.176 1
O13 0.262 0.197 0.938 1
O14 0.262 0.303 0.438 1
O15 0.365 0.504 0.638 1
O16 0.365 0.996 0.138 1
O17 0.371 0.605 0.144 1
O18 0.371 0.895 0.644 1
O19 0.381 0.709 0.432 1
O20 0.381 0.791 0.932 1
O21 0.459 0.192 0.859 1
O22 0.459 0.308 0.359 1
O23 0.541 0.692 0.641 1
O24 0.541 0.808 0.141 1
O25 0.619 0.209 0.068 1
O26 0.619 0.291 0.568 1
O27 0.629 0.105 0.356 1
O28 0.629 0.395 0.856 1
O29 0.635 0.004 0.862 1
O30 0.635 0.496 0.362 1
O31 0.738 0.697 0.562 1
O32 0.738 0.803 0.062 1
O33 0.760 0.728 0.824 1
O34 0.760 0.772 0.324 1
O35 0.842 0.052 0.948 1
O36 0.842 0.448 0.448 1
O37 0.846 0.080 0.233 1
O38 0.846 0.420 0.733 1
O39 0.851 0.042 0.676 1
O40 0.851 0.458 0.176 1
O41 0.988 0.707 0.634 1
O42 0.988 0.793 0.134 1
O43 0.993 0.723 0.359 1
O44 0.993 0.777 0.859 1

***

# LiSm4V4O12 | the Materials Project database | GGA+U | relaxed
# DFT formation energy: -3.06 eV per atom
# Spin magnetization: 8.993 μB per cell
data_LiSm4V4O12
_chemical_formula_sum 'Li1 Sm4 V4 O12'
_symmetry_space_group_name_H-M 'P 1'
_symmetry_Int_Tables_number 1
_symmetry_space_group_name_Hall 'P 1'
_cell_length_a 5.415
_cell_length_b 5.932
_cell_length_c 7.825
_cell_angle_alpha 89.08
_cell_angle_beta 89.89
_cell_angle_gamma 88.59
loop_
_atom_site_label
_atom_site_fract_x
_atom_site_fract_y
_atom_site_fract_z
_atom_site_occupancy
Li1 0.000 0.000 0.000 1
Sm1 0.336 0.334 0.394 1
Sm2 0.415 0.187 0.896 1
Sm3 0.829 0.651 0.880 1
Sm4 0.878 0.830 0.394 1
V1 0.356 0.760 0.644 1
V2 0.368 0.761 0.146 1
V3 0.859 0.286 0.163 1
V4 0.867 0.247 0.641 1
O1 0.058 0.561 0.591 1
O2 0.065 0.580 0.203 1
O3 0.165 0.059 0.583 1
O4 0.181 0.063 0.199 1
O5 0.235 0.809 0.892 1
O6 0.474 0.717 0.400 1
O7 0.546 0.471 0.082 1
O8 0.560 0.451 0.701 1
O9 0.664 0.947 0.704 1
O10 0.680 0.947 0.085 1
O11 0.743 0.217 0.407 1
O12 0.979 0.282 0.892 1

***

Please write out number 2 again, unchanged.
# LiSm4V4O12 | the Materials Project database | GGA+U | relaxed
# DFT formation energy: -3.06 eV per atom
# Spin magnetization: 8.993 μB per cell
data_LiSm4V4O12
_chemical_formula_sum 'Li1 Sm4 V4 O12'
_symmetry_space_group_name_H-M 'P 1'
_symmetry_Int_Tables_number 1
_symmetry_space_group_name_Hall 'P 1'
_cell_length_a 5.415
_cell_length_b 5.932
_cell_length_c 7.825
_cell_angle_alpha 89.08
_cell_angle_beta 89.89
_cell_angle_gamma 88.59
loop_
_atom_site_label
_atom_site_fract_x
_atom_site_fract_y
_atom_site_fract_z
_atom_site_occupancy
Li1 0.000 0.000 0.000 1
Sm1 0.336 0.334 0.394 1
Sm2 0.415 0.187 0.896 1
Sm3 0.829 0.651 0.880 1
Sm4 0.878 0.830 0.394 1
V1 0.356 0.760 0.644 1
V2 0.368 0.761 0.146 1
V3 0.859 0.286 0.163 1
V4 0.867 0.247 0.641 1
O1 0.058 0.561 0.591 1
O2 0.065 0.580 0.203 1
O3 0.165 0.059 0.583 1
O4 0.181 0.063 0.199 1
O5 0.235 0.809 0.892 1
O6 0.474 0.717 0.400 1
O7 0.546 0.471 0.082 1
O8 0.560 0.451 0.701 1
O9 0.664 0.947 0.704 1
O10 0.680 0.947 0.085 1
O11 0.743 0.217 0.407 1
O12 0.979 0.282 0.892 1